The following is a PBE-GGA calculation of NaS after structural relaxation, from the Materials Project database.

The energy with MP2020 corrections is -3.433 eV per atom. The calculation puts the total energy at -6.36 eV/cell. The value obtained for the calculated density is 2325 kg/m³. The energy above the most stable polymorph in this dataset is 375 meV per atom.

The space group is Pm-3m (No. 221) and the conventional cell measures 3.401, 3.401 and 3.401 Å, with angles of 90.00, 90.00 and 90.00 degrees. The distinct sites, in fractional coordinates, are Na at (0.000, 0.000, 0.000) and S at (0.500, 0.500, 0.500).


The following is a PBE-GGA calculation of NaS2 after structural relaxation, from the Materials Project database.

The energy with MP2020 corrections is -4.115 eV per atom. The calculation puts the total energy at -181.43 eV/cell. As for the piezoelectric modulus e_max: 0.222 C/m². The value obtained for the calculated density is 2057 kg/m³.

The space group is I-42d (No. 122) and the conventional cell measures 9.693, 9.693 and 11.974 Å, with angles of 90.00, 90.00 and 90.00 degrees. The distinct sites, in fractional coordinates, are Na at (0.000, 0.000, 0.170), Na at (0.227, 0.750, 0.625), S at (0.033, 0.749, 0.296) and S at (0.118, 0.147, 0.603).


The following is a PBE-GGA calculation of NaS after structural relaxation, from the Materials Project database.

The energy with MP2020 corrections is -3.808 eV per atom. The calculation puts the total energy at -28.45 eV/cell. The value obtained for the calculated density is 2015 kg/m³. The energy above the most stable polymorph in this dataset is 0 meV per atom.

The space group is P6_3/mmc (No. 194) and the conventional cell measures 4.5143, 4.5143 and 10.2841 Å, with angles of 90.00, 90.00 and 120.00 degrees. The distinct sites, in fractional coordinates, are Na at (0.0000, 0.0000, 0.0000), Na at (0.3333, 0.6667, 0.2500) and S at (0.3333, 0.6667, 0.6446).


The following is a PBE-GGA calculation of Na3SbS4 after structural relaxation, from the Materials Project database.

The energy with MP2020 corrections is -4.088 eV per atom. The calculation puts the total energy at -61.39 eV/cell. The value obtained for the calculated density is 2776 kg/m³.

The space group is I-43m (No. 217) and the conventional cell measures 7.254, 7.254 and 7.254 Å, with angles of 90.00, 90.00 and 90.00 degrees. The distinct sites, in fractional coordinates, are Na at (0.000, 0.000, 0.500), Sb at (0.000, 0.000, 0.000) and S at (0.188, 0.188, 0.188).


The following is a PBE-GGA calculation of Na4SeS after structural relaxation, from the Materials Project database.

The energy with MP2020 corrections is -3.296 eV per atom. The calculation puts the total energy at -19.27 eV/cell. The value obtained for the calculated density is 2222 kg/m³.

The space group is P4/mmm (No. 123) and the conventional cell measures 4.750, 4.750 and 6.724 Å, with angles of 90.00, 90.00 and 90.00 degrees. The distinct sites, in fractional coordinates, are Na at (0.000, 0.500, 0.244), Se at (0.000, 0.000, 0.500) and S at (0.500, 0.500, 0.000).


The following is a PBE-GGA calculation of NaSm3SiS7 after structural relaxation, from the Materials Project database.

The energy with MP2020 corrections is -6.056 eV per atom. The calculation puts the total energy at -138.31 eV/cell. As for the piezoelectric modulus e_max: 1.306 C/m². The value obtained for the calculated density is 4665 kg/m³.

The space group is P6_3 (No. 173) and the conventional cell measures 10.1915, 10.1915 and 5.7502 Å, with angles of 90.00, 90.00 and 120.00 degrees. The distinct sites, in fractional coordinates, are Na at (0.0000, 0.0000, 0.0000), Sm at (0.1256, 0.7647, 0.2305), Si at (0.3333, 0.6667, 0.6423), S at (0.0902, 0.8305, 0.7516), S at (0.1129, 0.5223, 0.4945) and S at (0.3333, 0.6667, 0.0101).


Question: Number 5 is which compound?
Answer: Na4SeS


What did the sixth record say?
The following is a PBE-GGA calculation of NaSm3SiS7 after structural relaxation, from the Materials Project database.

The energy with MP2020 corrections is -6.056 eV per atom. The calculation puts the total energy at -138.31 eV/cell. As for the piezoelectric modulus e_max: 1.306 C/m². The value obtained for the calculated density is 4665 kg/m³.

The space group is P6_3 (No. 173) and the conventional cell measures 10.1915, 10.1915 and 5.7502 Å, with angles of 90.00, 90.00 and 120.00 degrees. The distinct sites, in fractional coordinates, are Na at (0.0000, 0.0000, 0.0000), Sm at (0.1256, 0.7647, 0.2305), Si at (0.3333, 0.6667, 0.6423), S at (0.0902, 0.8305, 0.7516), S at (0.1129, 0.5223, 0.4945) and S at (0.3333, 0.6667, 0.0101).


Question: Which of these has the highest calculated density?
Answer: NaSm3SiS7


Please write out number 2 again, unchanged.
The following is a PBE-GGA calculation of NaS2 after structural relaxation, from the Materials Project database.

The energy with MP2020 corrections is -4.115 eV per atom. The calculation puts the total energy at -181.43 eV/cell. As for the piezoelectric modulus e_max: 0.222 C/m². The value obtained for the calculated density is 2057 kg/m³.

The space group is I-42d (No. 122) and the conventional cell measures 9.693, 9.693 and 11.974 Å, with angles of 90.00, 90.00 and 90.00 degrees. The distinct sites, in fractional coordinates, are Na at (0.000, 0.000, 0.170), Na at (0.227, 0.750, 0.625), S at (0.033, 0.749, 0.296) and S at (0.118, 0.147, 0.603).